--- w ---
Entry from the Materials Project database: a relaxed OsAu3 crystal (PBE).

POSCAR file:
```
OsAu3
1.0
-0.7178 2.6726 4.0453
-4.3307 -1.4477 1.7810
3.8843 -2.6930 -1.2973
Au Os
3 1
direct
0.2500 0.7500 0.5000 Au
0.7500 0.2500 0.5000 Au
0.5000 0.5000 0.0000 Au
0.0000 0.0000 0.0000 Os
```

Total magnetic moment in Bohr magnetons per cell: 1.2



--- x ---
Entry from the Materials Project database: a relaxed OsAu3 crystal (PBE).

POSCAR file:
```
OsAu3
1.0
-2.2263 -1.5301 3.0715
-0.5985 -3.4320 -2.1435
3.3789 -1.6161 1.6441
Au Os
3 1
direct
0.5000 0.0000 0.5000 Au
0.5000 0.5000 0.0000 Au
0.0000 0.5000 0.5000 Au
0.0000 0.0000 0.0000 Os
```

Total magnetic moment in Bohr magnetons per cell: 0.0



Tell me which of them is the least stable. Sure, it is x.